# 1
# Eu2Ge3Au, optimized geometry, DFT GGA-PBE
data_Eu2Ge3Au
_space_group_name_H-M_alt 'F m m m'
_space_group_IT_number 69
_space_group_name_Hall '-F 2 2'
_cell_length_a 8.717
_cell_length_b 8.876
_cell_length_c 15.083
_cell_angle_alpha 90.00
_cell_angle_beta 90.00
_cell_angle_gamma 90.00
loop_
_atom_site_label
_atom_site_type_symbol
_atom_site_fract_x
_atom_site_fract_y
_atom_site_fract_z
Eu1 Eu 0.000 0.246 0.000
Eu2 Eu 0.250 0.250 0.250
Ge1 Ge 0.000 0.000 0.165
Ge2 Ge 0.248 0.000 0.082
Au1 Au 0.000 0.000 0.333
# Excess energy over the best structure of this formula in the dataset ... 0 meV/atom
# Energy of formation from the pure elements ... -0.66 eV/atom
# Final energy ... -0.2550 Ha/atom

---

# 2
# EuHgAu2, optimized geometry, DFT GGA-PBE
data_EuHgAu2
_space_group_name_H-M_alt 'F m -3 m'
_space_group_IT_number 225
_space_group_name_Hall '-F 4 2 3'
_cell_length_a 7.273
_cell_length_b 7.273
_cell_length_c 7.273
_cell_angle_alpha 90.00
_cell_angle_beta 90.00
_cell_angle_gamma 90.00
loop_
_atom_site_label
_atom_site_type_symbol
_atom_site_fract_x
_atom_site_fract_y
_atom_site_fract_z
Eu1 Eu 0.000 0.000 0.000
Hg1 Hg 0.000 0.000 0.500
Au1 Au 0.250 0.250 0.250
# Energy of formation from the pure elements ... -0.54 eV/atom
# Final energy ... -0.1770 Ha/atom

---

# 3
# EuInAu, optimized geometry, DFT GGA-PBE
data_EuInAu
_space_group_name_H-M_alt 'P n m a'
_space_group_IT_number 62
_space_group_name_Hall '-P 2ac 2n'
_cell_length_a 7.581
_cell_length_b 4.753
_cell_length_c 8.573
_cell_angle_alpha 90.00
_cell_angle_beta 90.00
_cell_angle_gamma 90.00
loop_
_atom_site_label
_atom_site_type_symbol
_atom_site_fract_x
_atom_site_fract_y
_atom_site_fract_z
Eu1 Eu 0.025 0.250 0.184
In1 In 0.157 0.250 0.565
Au1 Au 0.226 0.750 0.383
# Energy of formation from the pure elements ... -0.68 eV/atom
# Final energy ... -0.2243 Ha/atom

---

# 4
# EuInAu2, optimized geometry, DFT GGA-PBE
data_EuInAu2
_space_group_name_H-M_alt 'F m -3 m'
_space_group_IT_number 225
_space_group_name_Hall '-F 4 2 3'
_cell_length_a 7.144
_cell_length_b 7.144
_cell_length_c 7.144
_cell_angle_alpha 90.00
_cell_angle_beta 90.00
_cell_angle_gamma 90.00
loop_
_atom_site_label
_atom_site_type_symbol
_atom_site_fract_x
_atom_site_fract_y
_atom_site_fract_z
Eu1 Eu 0.000 0.000 0.000
In1 In 0.000 0.000 0.500
Au1 Au 0.250 0.250 0.250
# Energy of formation from the pure elements ... -0.60 eV/atom
# Final energy ... -0.2016 Ha/atom